An optimized crystal structure of CeMg2. Source: the Materials Project database, functional PBE.

Geometry as POSCAR:
```
CeMg2
1.0
1.593 -8.886 0.000
1.593 8.886 0.000
0.000 0.000 5.538
Ce Mg
2 4
Direct
0.110 0.890 0.750
0.890 0.110 0.250
0.219 0.781 0.250
0.444 0.556 0.750
0.556 0.444 0.250
0.781 0.219 0.750
```

symmetry	Cmcm (63)
VASP energy	-17.99	eV per cell
E_form	0.046	eV/atom

An optimized crystal structure of In2Se2O7. Source: the Materials Project database, functional PBE.

Geometry as POSCAR:
```
In2Se2O7
1.0
6.999 0.000 0.000
0.000 14.071 0.000
0.000 0.000 13.002
In Se O
16 16 56
Direct
0.049 0.128 0.012
0.049 0.372 0.512
0.250 0.250 0.253
0.250 0.250 0.753
0.250 0.750 0.335
0.250 0.750 0.835
0.451 0.128 0.512
0.451 0.372 0.012
0.549 0.628 0.988
0.549 0.872 0.488
0.750 0.250 0.165
0.750 0.250 0.665
0.750 0.750 0.247
0.750 0.750 0.747
0.951 0.628 0.488
0.951 0.872 0.988
0.010 0.541 0.729
0.010 0.959 0.229
0.031 0.629 0.057
0.031 0.871 0.557
0.469 0.629 0.557
0.469 0.871 0.057
0.490 0.541 0.229
0.490 0.959 0.729
0.510 0.041 0.271
0.510 0.459 0.771
0.531 0.129 0.943
0.531 0.371 0.443
0.969 0.129 0.443
0.969 0.371 0.943
0.990 0.041 0.771
0.990 0.459 0.271
0.029 0.514 0.597
0.029 0.986 0.097
0.031 0.207 0.150
0.031 0.293 0.650
0.041 0.245 0.405
0.041 0.255 0.905
0.146 0.099 0.528
0.146 0.401 0.028
0.185 0.625 0.736
0.185 0.875 0.236
0.202 0.103 0.782
0.202 0.397 0.282
0.220 0.648 0.972
0.220 0.852 0.472
0.280 0.648 0.472
0.280 0.852 0.972
0.298 0.103 0.282
0.298 0.397 0.782
0.315 0.625 0.236
0.315 0.875 0.736
0.354 0.099 0.028
0.354 0.401 0.528
0.459 0.245 0.905
0.459 0.255 0.405
0.469 0.207 0.650
0.469 0.293 0.150
0.471 0.514 0.097
0.471 0.986 0.597
0.529 0.014 0.403
0.529 0.486 0.903
0.531 0.707 0.850
0.531 0.793 0.350
0.541 0.745 0.595
0.541 0.755 0.095
0.646 0.599 0.472
0.646 0.901 0.972
0.685 0.125 0.264
0.685 0.375 0.764
0.702 0.603 0.218
0.702 0.897 0.718
0.720 0.148 0.028
0.720 0.352 0.528
0.780 0.148 0.528
0.780 0.352 0.028
0.798 0.603 0.718
0.798 0.897 0.218
0.815 0.125 0.764
0.815 0.375 0.264
0.854 0.599 0.972
0.854 0.901 0.472
0.959 0.745 0.095
0.959 0.755 0.595
0.969 0.707 0.350
0.969 0.793 0.850
0.971 0.014 0.903
0.971 0.486 0.403
```

symmetry	Pccn (56)
corrected total energy (MP2020 scheme)	-5.873	eV/atom
VASP energy	-478.39	eV per cell
E_form	-1.589	eV/atom